(1)
# PBE GaGeTe2, relaxed
data_GaGeTe2
_chemical_formula_sum 'Ga2 Ge2 Te4'
_cell_length_a 4.2218
_cell_length_b 4.2218
_cell_length_c 17.2681
_cell_angle_alpha 90.00
_cell_angle_beta 90.00
_cell_angle_gamma 120.00
_space_group_name_H-M_alt 'P -3 m 1'
_space_group_IT_number 164
_space_group_name_Hall '-P 3 2"'
loop_
_atom_site_label
_atom_site_type_symbol
_atom_site_fract_x
_atom_site_fract_y
_atom_site_fract_z
_atom_site_occupancy
Ga1 Ga 0.3333 0.6667 0.3270 1
Ge1 Ge 0.3333 0.6667 0.1747 1
Te1 Te 0.3333 0.6667 0.6000 1
Te2 Te 0.3333 0.6667 0.9013 1
# - DFT formation energy: -1.2 eV/f.u.
# - Corrected total energy (MP2020 scheme): -30.26 eV/cell

(2)
# PBE ScMn4Al8, relaxed
data_ScMn4Al8
_chemical_formula_sum 'Sc2 Mn8 Al16'
_cell_length_a 8.672
_cell_length_b 8.672
_cell_length_c 5.158
_cell_angle_alpha 90.00
_cell_angle_beta 90.00
_cell_angle_gamma 90.00
_space_group_name_H-M_alt 'I 4/m m m'
_space_group_IT_number 139
_space_group_name_Hall '-I 4 2'
loop_
_atom_site_label
_atom_site_type_symbol
_atom_site_fract_x
_atom_site_fract_y
_atom_site_fract_z
_atom_site_occupancy
Sc1 Sc 0.000 0.000 0.000 1
Mn1 Mn 0.250 0.250 0.250 1
Al1 Al 0.000 0.223 0.500 1
Al2 Al 0.000 0.331 0.000 1
# - DFT formation energy: -4.4 eV/f.u.

(3)
# PBE PrN, relaxed
data_PrN
_chemical_formula_sum 'Pr4 N4'
_cell_length_a 5.221
_cell_length_b 5.221
_cell_length_c 5.221
_cell_angle_alpha 90.00
_cell_angle_beta 90.00
_cell_angle_gamma 90.00
_space_group_name_H-M_alt 'F m -3 m'
_space_group_IT_number 225
_space_group_name_Hall '-F 4 2 3'
loop_
_atom_site_label
_atom_site_type_symbol
_atom_site_fract_x
_atom_site_fract_y
_atom_site_fract_z
_atom_site_occupancy
Pr1 Pr 0.000 0.000 0.000 1
N1 N 0.000 0.000 0.500 1
# - DFT formation energy: -2.9 eV/f.u.
# - Corrected total energy (MP2020 scheme): -64.18 eV/cell

(4)
# PBE MgSi2, relaxed
data_MgSi2
_chemical_formula_sum 'Mg8 Si16'
_cell_length_a 6.376
_cell_length_b 7.236
_cell_length_c 9.620
_cell_angle_alpha 92.86
_cell_angle_beta 105.52
_cell_angle_gamma 97.35
_space_group_name_H-M_alt 'P -1'
_space_group_IT_number 2
loop_
_space_group_symop_operation_xyz
'x,y,z'
'-x,-y,-z'
loop_
_atom_site_label
_atom_site_type_symbol
_atom_site_fract_x
_atom_site_fract_y
_atom_site_fract_z
_atom_site_occupancy
Mg1 Mg 0.033 0.261 0.196 1
Mg2 Mg 0.287 0.562 0.037 1
Mg3 Mg 0.332 0.097 0.869 1
Mg4 Mg 0.364 0.899 0.357 1
Si1 Si 0.003 0.647 0.204 1
Si2 Si 0.158 0.926 0.076 1
Si3 Si 0.164 0.554 0.454 1
Si4 Si 0.188 0.152 0.528 1
Si5 Si 0.205 0.847 0.621 1
Si6 Si 0.338 0.411 0.722 1
Si7 Si 0.440 0.338 0.409 1
Si8 Si 0.451 0.232 0.166 1
# - DFT formation energy: 0.7 eV/f.u.
# - Energy relative to the lowest polymorph listed for this composition: 153.7 meV per atom
# - Corrected total energy (MP2020 scheme): -94.06 eV/cell

(5)
# PBE MgSi2, relaxed
data_MgSi2
_chemical_formula_sum 'Mg4 Si8'
_cell_length_a 5.310
_cell_length_b 3.710
_cell_length_c 12.160
_cell_angle_alpha 90.00
_cell_angle_beta 102.09
_cell_angle_gamma 90.00
_space_group_name_H-M_alt 'P 1 m 1'
_space_group_IT_number 6
loop_
_space_group_symop_operation_xyz
'x,y,z'
'x,-y,z'
loop_
_atom_site_label
_atom_site_type_symbol
_atom_site_fract_x
_atom_site_fract_y
_atom_site_fract_z
_atom_site_occupancy
Mg1 Mg 0.000 0.000 0.000 1
Mg2 Mg 0.079 0.000 0.653 1
Mg3 Mg 0.374 0.500 0.241 1
Mg4 Mg 0.623 0.500 0.753 1
Si1 Si 0.150 0.500 0.843 1
Si2 Si 0.215 0.000 0.383 1
Si3 Si 0.441 0.000 0.894 1
Si4 Si 0.508 0.000 0.559 1
Si5 Si 0.548 0.000 0.095 1
Si6 Si 0.757 0.500 0.522 1
Si7 Si 0.826 0.500 0.155 1
Si8 Si 0.935 0.500 0.359 1
# - DFT formation energy: 0.4 eV/f.u.
# - Energy relative to the lowest polymorph listed for this composition: 42.5 meV per atom
# - Corrected total energy (MP2020 scheme): -48.36 eV/cell

(6)
# PBE Ca3V2N4, relaxed
data_Ca3V2N4
_chemical_formula_sum 'Ca12 V8 N16'
_cell_length_a 10.902
_cell_length_b 8.287
_cell_length_c 5.491
_cell_angle_alpha 90.00
_cell_angle_beta 92.08
_cell_angle_gamma 90.00
_space_group_name_H-M_alt 'C 1 2/c 1'
_space_group_IT_number 15
loop_
_space_group_symop_operation_xyz
'x,y,z'
'-x,-y,-z'
'-x,y,-z+1/2'
'x,-y,z+1/2'
'x+1/2,y+1/2,z'
'-x+1/2,-y+1/2,-z'
'-x+1/2,y+1/2,-z+1/2'
'x+1/2,-y+1/2,z+1/2'
loop_
_atom_site_label
_atom_site_type_symbol
_atom_site_fract_x
_atom_site_fract_y
_atom_site_fract_z
_atom_site_occupancy
Ca1 Ca 0.000 0.103 0.250 1
Ca2 Ca 0.115 0.369 0.537 1
V1 V 0.203 0.123 0.913 1
N1 N 0.122 0.325 0.028 1
N2 N 0.163 0.071 0.585 1
# - DFT formation energy: -9.6 eV/f.u.
# - Energy relative to the lowest polymorph listed for this composition: 79.9 meV per atom
# - Corrected total energy (MP2020 scheme): -268.69 eV/cell

(7)
# PBE Na6Mg6Zr2SiS11O48, relaxed
data_Na6Mg6Zr2SiS11O48
_chemical_formula_sum 'Na18 Mg18 Zr6 Si3 S33 O144'
_cell_length_a 8.793
_cell_length_b 15.237
_cell_length_c 22.843
_cell_angle_alpha 89.90
_cell_angle_beta 89.88
_cell_angle_gamma 89.93
_space_group_name_H-M_alt 'P 1'
_space_group_IT_number 1
loop_
_space_group_symop_operation_xyz
'x,y,z'
loop_
_atom_site_label
_atom_site_type_symbol
_atom_site_fract_x
_atom_site_fract_y
_atom_site_fract_z
_atom_site_occupancy
Na1 Na 0.000 0.000 0.000 1
Na2 Na 0.000 0.327 0.657 1
Na3 Na 0.001 0.323 0.167 1
Na4 Na 0.008 0.994 0.498 1
Na5 Na 0.009 0.663 0.821 1
Na6 Na 0.015 0.662 0.339 1
Na7 Na 0.140 0.829 0.906 1
Na8 Na 0.329 0.339 0.082 1
Na9 Na 0.374 0.328 0.415 1
Na10 Na 0.500 0.826 0.657 1
Na11 Na 0.509 0.162 0.822 1
Na12 Na 0.511 0.163 0.331 1
Na13 Na 0.511 0.832 0.162 1
Na14 Na 0.512 0.503 0.996 1
Na15 Na 0.514 0.503 0.493 1
Na16 Na 0.640 0.328 0.906 1
Na17 Na 0.649 0.989 0.242 1
Na18 Na 0.687 0.680 0.254 1
Mg1 Mg 0.002 0.994 0.145 1
Mg2 Mg 0.003 0.328 0.514 1
Mg3 Mg 0.004 0.323 0.014 1
Mg4 Mg 0.006 0.658 0.979 1
Mg5 Mg 0.008 0.992 0.845 1
Mg6 Mg 0.009 0.660 0.479 1
Mg7 Mg 0.010 0.328 0.314 1
Mg8 Mg 0.014 0.665 0.681 1
Mg9 Mg 0.506 0.155 0.982 1
Mg10 Mg 0.506 0.163 0.179 1
Mg11 Mg 0.507 0.493 0.845 1
Mg12 Mg 0.510 0.824 0.514 1
Mg13 Mg 0.510 0.827 0.315 1
Mg14 Mg 0.511 0.495 0.349 1
Mg15 Mg 0.513 0.492 0.147 1
Mg16 Mg 0.515 0.165 0.681 1
Mg17 Mg 0.515 0.830 0.016 1
Mg18 Mg 0.516 0.158 0.481 1
Zr1 Zr 0.003 0.328 0.808 1
Zr2 Zr 0.009 0.988 0.349 1
Zr3 Zr 0.013 0.663 0.182 1
Zr4 Zr 0.018 0.988 0.644 1
Zr5 Zr 0.504 0.828 0.808 1
Zr6 Zr 0.518 0.489 0.643 1
Si1 Si 0.145 0.841 0.752 1
Si2 Si 0.644 0.341 0.752 1
Si3 Si 0.854 0.848 0.244 1
S1 S 0.154 0.473 0.413 1
S2 S 0.157 0.183 0.414 1
S3 S 0.158 0.511 0.078 1
S4 S 0.160 0.137 0.748 1
S5 S 0.160 0.809 0.076 1
S6 S 0.215 0.159 0.080 1
S7 S 0.218 0.497 0.748 1
S8 S 0.222 0.824 0.414 1
S9 S 0.299 0.663 0.579 1
S10 S 0.304 0.327 0.917 1
S11 S 0.304 0.995 0.245 1
S12 S 0.357 0.304 0.578 1
S13 S 0.361 0.346 0.246 1
S14 S 0.363 0.976 0.916 1
S15 S 0.364 0.678 0.916 1
S16 S 0.367 0.637 0.247 1
S17 S 0.372 0.015 0.579 1
S18 S 0.649 0.975 0.414 1
S19 S 0.656 0.014 0.081 1
S20 S 0.657 0.307 0.079 1
S21 S 0.657 0.679 0.413 1
S22 S 0.660 0.637 0.748 1
S23 S 0.711 0.659 0.079 1
S24 S 0.716 0.326 0.413 1
S25 S 0.718 0.997 0.748 1
S26 S 0.799 0.489 0.246 1
S27 S 0.801 0.163 0.579 1
S28 S 0.804 0.827 0.916 1
S29 S 0.858 0.803 0.579 1
S30 S 0.863 0.177 0.916 1
S31 S 0.863 0.476 0.916 1
S32 S 0.864 0.143 0.245 1
S33 S 0.872 0.515 0.579 1
O1 O 0.078 0.745 0.742 1
O2 O 0.085 0.100 0.695 1
O3 O 0.088 0.562 0.420 1
O4 O 0.089 0.093 0.408 1
O5 O 0.089 0.433 0.360 1
O6 O 0.090 0.223 0.467 1
O7 O 0.090 0.886 0.812 1
O8 O 0.090 0.896 0.084 1
O9 O 0.091 0.423 0.073 1
O10 O 0.092 0.228 0.753 1
O11 O 0.092 0.553 0.132 1
O12 O 0.094 0.766 0.024 1
O13 O 0.114 0.570 0.740 1
O14 O 0.116 0.082 0.087 1
O15 O 0.118 0.748 0.420 1
O16 O 0.120 0.241 0.074 1
O17 O 0.120 0.906 0.694 1
O18 O 0.124 0.087 0.800 1
O19 O 0.124 0.907 0.410 1
O20 O 0.125 0.752 0.129 1
O21 O 0.127 0.413 0.753 1
O22 O 0.127 0.567 0.027 1
O23 O 0.129 0.417 0.465 1
O24 O 0.130 0.236 0.361 1
O25 O 0.191 0.316 0.573 1
O26 O 0.193 0.337 0.252 1
O27 O 0.195 0.674 0.921 1
O28 O 0.195 0.983 0.909 1
O29 O 0.197 0.645 0.240 1
O30 O 0.198 0.007 0.584 1
O31 O 0.207 0.316 0.864 1
O32 O 0.207 0.649 0.526 1
O33 O 0.208 0.009 0.299 1
O34 O 0.208 0.672 0.632 1
O35 O 0.208 0.984 0.193 1
O36 O 0.209 0.337 0.970 1
O37 O 0.308 0.149 0.027 1
O38 O 0.310 0.509 0.800 1
O39 O 0.311 0.815 0.360 1
O40 O 0.312 0.176 0.132 1
O41 O 0.313 0.483 0.694 1
O42 O 0.315 0.837 0.466 1
O43 O 0.323 0.144 0.739 1
O44 O 0.324 0.480 0.407 1
O45 O 0.325 0.174 0.420 1
O46 O 0.325 0.501 0.085 1
O47 O 0.326 0.814 0.073 1
O48 O 0.338 0.837 0.753 1
O49 O 0.390 0.399 0.192 1
O50 O 0.390 0.917 0.966 1
O51 O 0.391 0.251 0.630 1
O52 O 0.391 0.735 0.863 1
O53 O 0.393 0.584 0.300 1
O54 O 0.396 0.068 0.526 1
O55 O 0.400 0.582 0.585 1
O56 O 0.400 0.740 0.573 1
O57 O 0.400 0.916 0.253 1
O58 O 0.401 0.407 0.912 1
O59 O 0.406 0.249 0.921 1
O60 O 0.407 0.072 0.241 1
O61 O 0.424 0.267 0.524 1
O62 O 0.427 0.388 0.299 1
O63 O 0.428 0.395 0.584 1
O64 O 0.428 0.933 0.862 1
O65 O 0.429 0.056 0.633 1
O66 O 0.430 0.721 0.968 1
O67 O 0.430 0.726 0.253 1
O68 O 0.431 0.591 0.908 1
O69 O 0.433 0.258 0.240 1
O70 O 0.433 0.925 0.574 1
O71 O 0.435 0.062 0.921 1
O72 O 0.436 0.598 0.194 1
O73 O 0.577 0.246 0.742 1
O74 O 0.581 0.395 0.085 1
O75 O 0.584 0.063 0.419 1
O76 O 0.585 0.600 0.695 1
O77 O 0.586 0.925 0.075 1
O78 O 0.587 0.590 0.407 1
O79 O 0.588 0.268 0.025 1
O80 O 0.590 0.386 0.812 1
O81 O 0.590 0.723 0.464 1
O82 O 0.592 0.728 0.753 1
O83 O 0.593 0.936 0.359 1
O84 O 0.594 0.053 0.135 1
O85 O 0.613 0.248 0.419 1
O86 O 0.613 0.405 0.407 1
O87 O 0.614 0.070 0.740 1
O88 O 0.617 0.580 0.086 1
O89 O 0.618 0.739 0.075 1
O90 O 0.619 0.407 0.694 1
O91 O 0.622 0.068 0.029 1
O92 O 0.623 0.919 0.465 1
O93 O 0.624 0.587 0.801 1
O94 O 0.626 0.253 0.131 1
O95 O 0.627 0.913 0.753 1
O96 O 0.629 0.729 0.358 1
O97 O 0.673 0.833 0.253 1
O98 O 0.692 0.816 0.573 1
O99 O 0.694 0.146 0.241 1
O100 O 0.694 0.174 0.920 1
O101 O 0.696 0.483 0.910 1
O102 O 0.698 0.507 0.584 1
O103 O 0.705 0.509 0.298 1
O104 O 0.705 0.836 0.968 1
O105 O 0.708 0.172 0.632 1
O106 O 0.708 0.480 0.193 1
O107 O 0.710 0.148 0.526 1
O108 O 0.710 0.815 0.862 1
O109 O 0.808 0.670 0.134 1
O110 O 0.809 0.339 0.466 1
O111 O 0.810 0.009 0.800 1
O112 O 0.810 0.314 0.360 1
O113 O 0.813 0.647 0.028 1
O114 O 0.813 0.983 0.694 1
O115 O 0.822 0.986 0.409 1
O116 O 0.823 0.318 0.073 1
O117 O 0.823 0.644 0.739 1
O118 O 0.825 0.006 0.084 1
O119 O 0.825 0.670 0.419 1
O120 O 0.838 0.337 0.752 1
O121 O 0.885 0.911 0.190 1
O122 O 0.888 0.753 0.632 1
O123 O 0.891 0.235 0.862 1
O124 O 0.892 0.086 0.298 1
O125 O 0.892 0.417 0.966 1
O126 O 0.897 0.568 0.527 1
O127 O 0.897 0.571 0.239 1
O128 O 0.899 0.413 0.253 1
O129 O 0.901 0.082 0.585 1
O130 O 0.901 0.240 0.573 1
O131 O 0.901 0.907 0.911 1
O132 O 0.906 0.749 0.921 1
O133 O 0.927 0.765 0.526 1
O134 O 0.928 0.433 0.862 1
O135 O 0.928 0.895 0.584 1
O136 O 0.929 0.220 0.967 1
O137 O 0.929 0.231 0.254 1
O138 O 0.929 0.556 0.633 1
O139 O 0.931 0.091 0.907 1
O140 O 0.931 0.747 0.241 1
O141 O 0.932 0.103 0.193 1
O142 O 0.933 0.425 0.574 1
O143 O 0.934 0.890 0.303 1
O144 O 0.935 0.562 0.921 1
# - DFT formation energy: -180.0 eV/f.u.
# - Corrected total energy (MP2020 scheme): -1509.09 eV/cell

(8)
# PBE Ag2TeO4, relaxed
data_Ag2TeO4
_chemical_formula_sum 'Ag4 Te2 O8'
_cell_length_a 6.259
_cell_length_b 6.282
_cell_length_c 7.313
_cell_angle_alpha 103.47
_cell_angle_beta 103.97
_cell_angle_gamma 116.52
_space_group_name_H-M_alt 'P 1'
_space_group_IT_number 1
loop_
_space_group_symop_operation_xyz
'x,y,z'
loop_
_atom_site_label
_atom_site_type_symbol
_atom_site_fract_x
_atom_site_fract_y
_atom_site_fract_z
_atom_site_occupancy
Ag1 Ag 0.000 0.000 0.000 1
Ag2 Ag 0.050 0.942 0.498 1
Ag3 Ag 0.304 0.692 0.999 1
Ag4 Ag 0.742 0.245 0.498 1
Te1 Te 0.399 0.595 0.500 1
Te2 Te 0.648 0.347 0.998 1
O1 O 0.209 0.621 0.657 1
O2 O 0.265 0.248 0.345 1
O3 O 0.301 0.218 0.840 1
O4 O 0.372 0.781 0.340 1
O5 O 0.666 0.156 0.156 1
O6 O 0.747 0.727 0.657 1
O7 O 0.783 0.695 0.155 1
O8 O 0.839 0.322 0.843 1
# - DFT formation energy: -6.2 eV/f.u.
# - Energy relative to the lowest polymorph listed for this composition: 87.2 meV per atom
# - Corrected total energy (MP2020 scheme): -69.52 eV/cell

Question: Among the records above, which one has the lowest DFT formation energy?
Answer: Na6Mg6Zr2SiS11O48